[1]
Entry from Materials Project: Bi2MoO6 after structural relaxation (GGA+U).

Calculated values
* energy relative to the elements: -1.858 eV/atom
* V: 131 Å³/f.u.

Unit cell a=5.618 b=5.626 c=16.625 alpha=90.00 beta=90.00 gamma=90.00
Element x y z (fractional)
Bi  0.474  0.065  0.424
Bi  0.026  0.043  0.924
Bi  0.526  0.565  0.576
Bi  0.474  0.543  0.924
Bi  0.974  0.543  0.076
Bi  0.526  0.043  0.076
Bi  0.026  0.565  0.424
Bi  0.974  0.065  0.576
Mo  0.492  0.022  0.750
Mo  0.992  0.022  0.250
Mo  0.508  0.522  0.250
Mo  0.008  0.522  0.750
O  0.899  0.442  0.647
O  0.774  0.681  0.279
O  0.689  0.259  0.778
O  0.409  0.918  0.854
O  0.260  0.786  0.502
O  0.762  0.262  0.998
O  0.760  0.786  0.498
O  0.240  0.286  0.502
O  0.189  0.259  0.222
O  0.726  0.181  0.279
O  0.226  0.181  0.721
O  0.091  0.418  0.854
O  0.101  0.942  0.353
O  0.591  0.418  0.146
O  0.262  0.262  0.002
O  0.909  0.918  0.146
O  0.811  0.759  0.778
O  0.274  0.681  0.721
O  0.311  0.759  0.222
O  0.738  0.762  0.998
O  0.740  0.286  0.498
O  0.601  0.942  0.647
O  0.238  0.762  0.002
O  0.399  0.442  0.353

[2]
Entry from Materials Project: Fe5O7F3 after structural relaxation (GGA+U).

Calculated values
* energy relative to the elements: -1.722 eV/atom
* V: 166 Å³/f.u.

Unit cell a=4.670 b=4.673 c=15.254 alpha=90.05 beta=90.04 gamma=90.11
Element x y z (fractional)
Fe  0.016  0.960  0.994
Fe  0.977  0.016  0.800
Fe  0.968  0.011  0.606
Fe  0.986  0.979  0.400
Fe  0.983  0.988  0.199
Fe  0.496  0.491  0.901
Fe  0.528  0.511  0.494
Fe  0.508  0.480  0.700
Fe  0.517  0.515  0.300
Fe  0.514  0.527  0.106
O  0.799  0.797  0.897
O  0.791  0.808  0.705
O  0.811  0.818  0.503
O  0.812  0.810  0.299
O  0.823  0.807  0.097
O  0.677  0.309  0.804
O  0.685  0.318  0.598
O  0.702  0.306  0.395
O  0.696  0.307  0.202
O  0.323  0.677  0.000
O  0.310  0.696  0.397
O  0.306  0.699  0.204
O  0.191  0.187  0.899
O  0.182  0.198  0.703
F  0.709  0.292  0.003
F  0.292  0.696  0.799
F  0.296  0.704  0.599
F  0.199  0.204  0.501
F  0.207  0.194  0.098
F  0.199  0.198  0.300

[3]
Entry from Materials Project: FeTe3BrO7 after structural relaxation (GGA+U).

Calculated values
* energy relative to the elements: -1.432 eV/atom
* V: 220 Å³/f.u.

Unit cell a=7.502 b=11.098 c=11.272 alpha=69.97 beta=90.00 gamma=90.00
Element x y z (fractional)
Fe  0.870  0.412  0.113
Fe  0.370  0.088  0.887
Fe  0.130  0.588  0.887
Fe  0.630  0.912  0.113
Te  0.510  0.232  0.098
Te  0.010  0.268  0.902
Te  0.490  0.768  0.902
Te  0.990  0.732  0.098
Te  0.974  0.067  0.233
Te  0.474  0.433  0.767
Te  0.026  0.933  0.767
Te  0.526  0.567  0.233
Te  0.102  0.427  0.367
Te  0.602  0.073  0.633
Te  0.898  0.573  0.633
Te  0.398  0.927  0.367
Br  0.712  0.378  0.494
Br  0.212  0.122  0.506
Br  0.288  0.622  0.506
Br  0.788  0.878  0.494
O  0.510  0.088  0.040
O  0.010  0.412  0.960
O  0.490  0.912  0.960
O  0.990  0.588  0.040
O  0.761  0.239  0.130
O  0.261  0.261  0.870
O  0.239  0.761  0.870
O  0.739  0.739  0.130
O  0.108  0.167  0.088
O  0.608  0.333  0.912
O  0.892  0.833  0.912
O  0.392  0.667  0.088
O  0.642  0.471  0.146
O  0.142  0.029  0.854
O  0.358  0.529  0.854
O  0.858  0.971  0.146
O  0.002  0.342  0.264
O  0.502  0.158  0.736
O  0.998  0.658  0.736
O  0.498  0.842  0.264
O  0.328  0.441  0.278
O  0.828  0.059  0.722
O  0.672  0.559  0.722
O  0.172  0.941  0.278
O  0.994  0.405  0.722
O  0.494  0.095  0.278
O  0.006  0.595  0.278
O  0.506  0.905  0.722

[4]
Entry from Materials Project: Rb2CoO3 after structural relaxation (GGA+U).

Calculated values
* energy relative to the elements: -1.464 eV/atom
* V: 103 Å³/f.u.

Unit cell a=5.403 b=6.358 c=6.358 alpha=108.94 beta=90.00 gamma=90.00
Element x y z (fractional)
Rb  0.742  0.183  0.505
Rb  0.242  0.495  0.817
Rb  0.742  0.505  0.183
Rb  0.242  0.817  0.495
Co  0.740  0.926  0.926
Co  0.240  0.074  0.074
O  0.238  0.317  0.317
O  0.738  0.683  0.683
O  0.990  0.117  0.883
O  0.490  0.117  0.883
O  0.990  0.883  0.117
O  0.490  0.883  0.117

[5]
Entry from Materials Project: Sr2CrSnO6 after structural relaxation (GGA+U).

Calculated values
* energy relative to the elements: -2.545 eV/atom
* V: 128 Å³/f.u.

Unit cell a=5.659 b=5.659 c=5.659 alpha=60.00 beta=60.00 gamma=60.00
Element x y z (fractional)
Sr  0.250  0.250  0.250
Sr  0.750  0.750  0.750
Cr  0.000  0.000  0.000
Sn  0.500  0.500  0.500
O  0.756  0.244  0.244
O  0.244  0.756  0.756
O  0.756  0.244  0.756
O  0.244  0.756  0.244
O  0.756  0.756  0.244
O  0.244  0.244  0.756

[6]
Entry from Materials Project: LiMn2O4 after structural relaxation (GGA+U).

Calculated values
* energy relative to the elements: -1.995 eV/atom
* V: 76 Å³/f.u.

Unit cell a=2.988 b=5.062 c=5.274 alpha=71.95 beta=90.00 gamma=90.00
Element x y z (fractional)
Li  0.000  0.000  0.000
Mn  0.000  0.500  0.500
Mn  0.500  0.000  0.500
O  0.000  0.227  0.308
O  0.500  0.766  0.278
O  0.000  0.773  0.692
O  0.500  0.234  0.722

[7]
Entry from Materials Project: MgMn8O13F3 after structural relaxation (GGA+U).

Calculated values
* energy relative to the elements: -2.052 eV/atom
* V: 267 Å³/f.u.

Unit cell a=6.818 b=5.665 c=6.941 alpha=88.21 beta=94.77 gamma=89.00
Element x y z (fractional)
Mg  0.385  0.879  0.117
Mn  0.363  0.359  0.106
Mn  0.126  0.668  0.379
Mn  0.870  0.143  0.117
Mn  0.387  0.130  0.630
Mn  0.103  0.843  0.843
Mn  0.656  0.861  0.406
Mn  0.613  0.606  0.854
Mn  0.881  0.345  0.633
O  0.153  0.106  0.058
O  0.175  0.630  0.098
O  0.564  0.594  0.125
O  0.072  0.612  0.644
O  0.371  0.880  0.420
O  0.095  0.106  0.659
O  0.594  0.107  0.180
O  0.407  0.861  0.822
O  0.666  0.114  0.587
O  0.908  0.886  0.316
O  0.422  0.366  0.829
O  0.676  0.593  0.591
O  0.826  0.372  0.897
F  0.321  0.372  0.408
F  0.923  0.379  0.351
F  0.814  0.852  0.909

[8]
Entry from Materials Project: LiV2P3O12 after structural relaxation (GGA+U).

Calculated values
* energy relative to the elements: -2.654 eV/atom
* V: 225 Å³/f.u.

Unit cell a=8.599 b=8.599 c=8.549 alpha=60.43 beta=60.43 gamma=59.99
Element x y z (fractional)
Li  0.018  0.434  0.982
Li  0.434  0.018  0.482
V  0.361  0.856  0.918
V  0.856  0.361  0.418
V  0.141  0.641  0.572
V  0.641  0.141  0.072
P  0.037  0.963  0.742
P  0.750  0.534  0.752
P  0.534  0.750  0.252
P  0.963  0.037  0.242
P  0.462  0.248  0.744
P  0.248  0.462  0.244
O  0.946  0.230  0.233
O  0.699  0.372  0.934
O  0.501  0.798  0.070
O  0.372  0.699  0.434
O  0.230  0.946  0.733
O  0.920  0.550  0.755
O  0.550  0.920  0.255
O  0.724  0.581  0.251
O  0.129  0.999  0.061
O  0.994  0.876  0.424
O  0.581  0.724  0.751
O  0.198  0.502  0.425
O  0.798  0.501  0.570
O  0.059  0.774  0.739
O  0.999  0.129  0.561
O  0.269  0.413  0.755
O  0.876  0.994  0.924
O  0.774  0.059  0.239
O  0.080  0.439  0.245
O  0.624  0.299  0.562
O  0.502  0.198  0.925
O  0.299  0.624  0.062
O  0.413  0.269  0.255
O  0.439  0.080  0.745

Number 7 is which compound? MgMn8O13F3

Which value of energy relative to the elements does entry 5 give? -2.545 eV/atom